Record 1
Entry from Materials Project: an optimized crystal structure of YBrO (meta-GGA r2SCAN).

Summary:
SG: R-3m, No. 166
Energy of formation from the pure elements (eV/atom): -3.2343
M_tot (μB per formula unit): 0.000

Cell lengths 10.280, 10.280, 10.280 Å; angles 21.49, 21.49, 21.49 degrees
Element x y z (fractional)
1 Y 0.214 0.214 0.214
2 Y 0.786 0.786 0.786
3 Br 0.389 0.389 0.389
4 Br 0.611 0.611 0.611
5 O 0.138 0.138 0.138
6 O 0.862 0.862 0.862

---

Record 2
Entry from Materials Project: an optimized crystal structure of K5As3Pb3 (meta-GGA r2SCAN).

Summary:
SG: Pnma, No. 62
Energy of formation from the pure elements (eV/atom): -0.4971
M_tot (μB per formula unit): 0.000

Cell lengths 19.577, 12.255, 6.608 Å; angles 90.00, 90.00, 90.00 degrees
Element x y z (fractional)
1 K 0.000 0.000 0.000
2 K 0.000 0.500 0.000
3 K 0.101 0.250 0.047
4 K 0.122 0.750 0.740
5 K 0.179 0.545 0.271
6 K 0.179 0.955 0.271
7 K 0.321 0.045 0.771
8 K 0.321 0.455 0.771
9 K 0.378 0.250 0.240
10 K 0.399 0.750 0.547
11 K 0.500 0.000 0.500
12 K 0.500 0.500 0.500
13 K 0.601 0.250 0.453
14 K 0.622 0.750 0.760
15 K 0.679 0.545 0.229
16 K 0.679 0.955 0.229
17 K 0.821 0.045 0.729
18 K 0.821 0.455 0.729
19 K 0.878 0.250 0.260
20 K 0.899 0.750 0.953
21 As 0.044 0.750 0.241
22 As 0.152 0.054 0.765
23 As 0.152 0.446 0.765
24 As 0.348 0.554 0.265
25 As 0.348 0.946 0.265
26 As 0.456 0.250 0.741
27 As 0.544 0.750 0.259
28 As 0.652 0.054 0.735
29 As 0.652 0.446 0.735
30 As 0.848 0.554 0.235
31 As 0.848 0.946 0.235
32 As 0.956 0.250 0.759
33 Pb 0.044 0.118 0.521
34 Pb 0.044 0.382 0.521
35 Pb 0.193 0.250 0.561
36 Pb 0.307 0.750 0.061
37 Pb 0.456 0.618 0.021
38 Pb 0.456 0.882 0.021
39 Pb 0.544 0.118 0.979
40 Pb 0.544 0.382 0.979
41 Pb 0.693 0.250 0.939
42 Pb 0.807 0.750 0.439
43 Pb 0.956 0.618 0.479
44 Pb 0.956 0.882 0.479

---

Record 3
Entry from Materials Project: an optimized crystal structure of Zr5AlSn3 (meta-GGA r2SCAN).

Summary:
SG: P6_3/mcm, No. 193
Energy of formation from the pure elements (eV/atom): -0.6640
M_tot (μB per formula unit): 0.000

Cell lengths 8.713, 8.713, 5.899 Å; angles 90.00, 90.00, 120.00 degrees
Element x y z (fractional)
1 Zr 0.000 0.269 0.250
2 Zr 0.000 0.731 0.750
3 Zr 0.269 0.000 0.250
4 Zr 0.269 0.269 0.750
5 Zr 0.333 0.667 0.000
6 Zr 0.333 0.667 0.500
7 Zr 0.667 0.333 0.000
8 Zr 0.667 0.333 0.500
9 Zr 0.731 0.000 0.750
10 Zr 0.731 0.731 0.250
11 Al 0.000 0.000 0.000
12 Al 0.000 0.000 0.500
13 Sn 0.000 0.386 0.750
14 Sn 0.000 0.614 0.250
15 Sn 0.386 0.000 0.750
16 Sn 0.386 0.386 0.250
17 Sn 0.614 0.000 0.250
18 Sn 0.614 0.614 0.750

---

Record 4
Entry from Materials Project: an optimized crystal structure of Lu2InAu2 (meta-GGA r2SCAN).

Summary:
SG: P4/mbm, No. 127
Energy of formation from the pure elements (eV/atom): -0.9162
M_tot (μB per formula unit): 0.000

Cell lengths 7.789, 7.789, 3.622 Å; angles 90.00, 90.00, 90.00 degrees
Element x y z (fractional)
1 Lu 0.169 0.331 0.000
2 Lu 0.331 0.831 0.000
3 Lu 0.669 0.169 0.000
4 Lu 0.831 0.669 0.000
5 In 0.000 0.000 0.500
6 In 0.500 0.500 0.500
7 Au 0.129 0.629 0.500
8 Au 0.371 0.129 0.500
9 Au 0.629 0.871 0.500
10 Au 0.871 0.371 0.500

---

Record 5
Entry from Materials Project: an optimized crystal structure of CoF3 (meta-GGA r2SCAN).

Summary:
SG: P-1, No. 2
Energy of formation from the pure elements (eV/atom): -2.0944
M_tot (μB per formula unit): 2.000

Cell lengths 4.763, 4.790, 5.149 Å; angles 63.02, 62.70, 60.74 degrees
Element x y z (fractional)
1 Co 0.000 0.000 0.000
2 Co 0.500 0.500 0.500
3 F 0.105 0.756 0.754
4 F 0.250 0.624 0.239
5 F 0.380 0.115 0.749
6 F 0.620 0.885 0.251
7 F 0.750 0.376 0.761
8 F 0.895 0.244 0.246

---

Record 6
Entry from Materials Project: an optimized crystal structure of KP2Ru2 (meta-GGA r2SCAN).

Summary:
SG: I4/mmm, No. 139
Energy of formation from the pure elements (eV/atom): -0.7267
M_tot (μB per formula unit): 0.000

Cell lengths 6.864, 6.864, 6.864 Å; angles 145.92, 145.92, 48.97 degrees
Element x y z (fractional)
1 K 0.000 0.000 0.000
2 P 0.339 0.339 0.000
3 P 0.661 0.661 0.000
4 Ru 0.250 0.750 0.500
5 Ru 0.750 0.250 0.500

---

no.,total energy (eV per atom)
1,-16.42
2,-22.59
3,-22.30
4,-40.90
5,-7.75
6,-15.70